{
  "formula": "Pr2MoC2",
  "functional": "meta-GGA r2SCAN",
  "state": "relaxed",
  "lattice": [[5.8455, 0.0000, 0.0000], [0.0000, 5.8455, 0.0000], [0.0000, 0.0000, 10.5004]],
  "species": ["Pr", "Pr", "Pr", "Pr", "Pr", "Pr", "Pr", "Pr", "Mo", "Mo", "Mo", "Mo", "C", "C", "C", "C", "C", "C", "C", "C"],
  "fractional_positions": [[0.1966, 0.1966, 0.1556], [0.1966, 0.1966, 0.8444], [0.3034, 0.6966, 0.3444], [0.3034, 0.6966, 0.6556], [0.6966, 0.3034, 0.3444], [0.6966, 0.3034, 0.6556], [0.8034, 0.8034, 0.1556], [0.8034, 0.8034, 0.8444], [0.1754, 0.1754, 0.5000], [0.3246, 0.6754, 0.0000], [0.6754, 0.3246, 0.0000], [0.8246, 0.8246, 0.5000], [0.0000, 0.0000, 0.3592], [0.0000, 0.0000, 0.6408], [0.0000, 0.5000, 0.0000], [0.0000, 0.5000, 0.5000], [0.5000, 0.0000, 0.0000], [0.5000, 0.0000, 0.5000], [0.5000, 0.5000, 0.1408], [0.5000, 0.5000, 0.8592]],
  "formation_energy_ev_per_atom": -0.256,
  "spacegroup": "P4_2/mnm, No. 136",
  "energy_ev_per_atom": -21.211
}

{
  "formula": "KDy2F7",
  "functional": "meta-GGA r2SCAN",
  "state": "relaxed",
  "lattice": [[7.1326, -3.9939, 0.0000], [7.1326, 3.9939, 0.0000], [-6.9017, 0.0000, 9.7251]],
  "species": ["K", "K", "K", "K", "Dy", "Dy", "Dy", "Dy", "Dy", "Dy", "Dy", "Dy", "F", "F", "F", "F", "F", "F", "F", "F", "F", "F", "F", "F", "F", "F", "F", "F", "F", "F", "F", "F", "F", "F", "F", "F", "F", "F", "F", "F"],
  "fractional_positions": [[0.0000, 0.0000, 0.0000], [0.0294, 0.0294, 0.3686], [0.5036, 0.5036, 0.3269], [0.5337, 0.5337, 0.6953], [0.0012, 0.5274, 0.6657], [0.0057, 0.5317, 0.0299], [0.0068, 0.0068, 0.6688], [0.0257, 0.5069, 0.3476], [0.5069, 0.0257, 0.3476], [0.5260, 0.5260, 0.0264], [0.5274, 0.0012, 0.6657], [0.5317, 0.0057, 0.0299], [0.1033, 0.6352, 0.2647], [0.1207, 0.6473, 0.5850], [0.1605, 0.1605, 0.2730], [0.2623, 0.2623, 0.6115], [0.2618, 0.5980, 0.8482], [0.2635, 0.9218, 0.6075], [0.2704, 0.2704, 0.0847], [0.2695, 0.6103, 0.0876], [0.2711, 0.9356, 0.8472], [0.3719, 0.3719, 0.4222], [0.4122, 0.8852, 0.1104], [0.4291, 0.8978, 0.4307], [0.5900, 0.9430, 0.8477], [0.5980, 0.2618, 0.8482], [0.6103, 0.2695, 0.0876], [0.6352, 0.1033, 0.2647], [0.6473, 0.1207, 0.5850], [0.6536, 0.6536, 0.9662], [0.6610, 0.6610, 0.2606], [0.6609, 0.6609, 0.5962], [0.8714, 0.8714, 0.4347], [0.8721, 0.8721, 0.0990], [0.8794, 0.8794, 0.7292], [0.8852, 0.4122, 0.1104], [0.8978, 0.4291, 0.4307], [0.9218, 0.2635, 0.6075], [0.9356, 0.2711, 0.8472], [0.9430, 0.5900, 0.8477]],
  "formation_energy_ev_per_atom": -4.229,
  "spacegroup": "Cm, No. 8",
  "energy_ev_per_atom": -13.416
}

{
  "formula": "K2YCl5",
  "functional": "meta-GGA r2SCAN",
  "state": "relaxed",
  "lattice": [[12.6493, 0.0000, 0.0000], [0.0000, 8.5635, 0.0000], [0.0000, 0.0000, 7.9262]],
  "species": ["K", "K", "K", "K", "K", "K", "K", "K", "Y", "Y", "Y", "Y", "Cl", "Cl", "Cl", "Cl", "Cl", "Cl", "Cl", "Cl", "Cl", "Cl", "Cl", "Cl", "Cl", "Cl", "Cl", "Cl", "Cl", "Cl", "Cl", "Cl"],
  "fractional_positions": [[0.1711, 0.0060, 0.0585], [0.1711, 0.4940, 0.0585], [0.3289, 0.5060, 0.5585], [0.3289, 0.9940, 0.5585], [0.6711, 0.0060, 0.4415], [0.6711, 0.4940, 0.4415], [0.8289, 0.5060, 0.9415], [0.8289, 0.9940, 0.9415], [0.0047, 0.2500, 0.5746], [0.4953, 0.7500, 0.0746], [0.5047, 0.2500, 0.9254], [0.9953, 0.7500, 0.4254], [0.0093, 0.2500, 0.9174], [0.0722, 0.5436, 0.6657], [0.0722, 0.9564, 0.6657], [0.1784, 0.2500, 0.3830], [0.2007, 0.7500, 0.3443], [0.2993, 0.2500, 0.8443], [0.3216, 0.7500, 0.8830], [0.4278, 0.0436, 0.1657], [0.4278, 0.4564, 0.1657], [0.4907, 0.7500, 0.4174], [0.5093, 0.2500, 0.5826], [0.5722, 0.5436, 0.8343], [0.5722, 0.9564, 0.8343], [0.6784, 0.2500, 0.1170], [0.7007, 0.7500, 0.1557], [0.7993, 0.2500, 0.6557], [0.8216, 0.7500, 0.6170], [0.9278, 0.0436, 0.3343], [0.9278, 0.4564, 0.3343], [0.9907, 0.7500, 0.0826]],
  "formation_energy_ev_per_atom": -2.419,
  "spacegroup": "Pnma, No. 62",
  "energy_ev_per_atom": -10.308
}

{
  "formula": "Ti11CuP8",
  "functional": "meta-GGA r2SCAN",
  "state": "relaxed",
  "lattice": [[9.4058, 0.0000, 0.0000], [0.0000, 18.3601, 0.0000], [0.0000, 0.0000, 3.4499]],
  "species": ["Ti", "Ti", "Ti", "Ti", "Ti", "Ti", "Ti", "Ti", "Ti", "Ti", "Ti", "Ti", "Ti", "Ti", "Ti", "Ti", "Ti", "Ti", "Ti", "Ti", "Ti", "Ti", "Cu", "Cu", "P", "P", "P", "P", "P", "P", "P", "P", "P", "P", "P", "P", "P", "P", "P", "P"],
  "fractional_positions": [[0.0000, 0.0000, 0.0000], [0.0060, 0.2720, 0.0000], [0.0981, 0.1451, 0.5000], [0.1448, 0.5876, 0.0000], [0.1881, 0.4326, 0.0000], [0.2317, 0.8024, 0.5000], [0.2683, 0.3024, 0.5000], [0.3119, 0.9326, 0.0000], [0.3552, 0.0876, 0.0000], [0.4019, 0.6451, 0.5000], [0.4940, 0.7720, 0.0000], [0.5000, 0.5000, 0.0000], [0.5060, 0.2280, 0.0000], [0.5981, 0.3549, 0.5000], [0.6448, 0.9124, 0.0000], [0.6881, 0.0674, 0.0000], [0.7317, 0.6976, 0.5000], [0.7683, 0.1976, 0.5000], [0.8119, 0.5674, 0.0000], [0.8552, 0.4124, 0.0000], [0.9019, 0.8549, 0.5000], [0.9940, 0.7280, 0.0000], [0.0000, 0.5000, 0.5000], [0.5000, 0.0000, 0.5000], [0.0391, 0.3701, 0.5000], [0.0860, 0.8677, 0.0000], [0.2057, 0.0206, 0.5000], [0.2440, 0.2071, 0.0000], [0.2560, 0.7071, 0.0000], [0.2943, 0.5206, 0.5000], [0.4140, 0.3677, 0.0000], [0.4609, 0.8701, 0.5000], [0.5391, 0.1299, 0.5000], [0.5860, 0.6323, 0.0000], [0.7057, 0.4794, 0.5000], [0.7440, 0.2929, 0.0000], [0.7560, 0.7929, 0.0000], [0.7943, 0.9794, 0.5000], [0.9140, 0.1323, 0.0000], [0.9609, 0.6299, 0.5000]],
  "formation_energy_ev_per_atom": -1.182,
  "spacegroup": "Pbam, No. 55",
  "energy_ev_per_atom": -12.441
}

{
  "formula": "YBrO",
  "functional": "meta-GGA r2SCAN",
  "state": "relaxed",
  "lattice": [[3.8409, 0.0000, 0.0000], [0.0000, 3.8409, 0.0000], [0.0000, 0.0000, 8.6432]],
  "species": ["Y", "Y", "Br", "Br", "O", "O"],
  "fractional_positions": [[0.2500, 0.2500, 0.1302], [0.7500, 0.7500, 0.8698], [0.2500, 0.2500, 0.6788], [0.7500, 0.7500, 0.3212], [0.2500, 0.7500, 0.0000], [0.7500, 0.2500, 0.0000]],
  "formation_energy_ev_per_atom": -3.247,
  "spacegroup": "P4/nmm, No. 129",
  "energy_ev_per_atom": -16.428
}

{
  "formula": "VW",
  "functional": "meta-GGA r2SCAN",
  "state": "relaxed",
  "lattice": [[1.5450, -2.2194, 0.0000], [1.5450, 2.2194, 0.0000], [0.0000, 0.0000, 4.2714]],
  "species": ["V", "W"],
  "fractional_positions": [[0.0000, 0.0000, 0.0000], [0.5000, 0.5000, 0.5000]],
  "formation_energy_ev_per_atom": -0.061,
  "spacegroup": "Cmmm, No. 65",
  "energy_ev_per_atom": -32.790
}

{
  "formula": "Nd23Cd4Rh7",
  "functional": "meta-GGA r2SCAN",
  "state": "relaxed",
  "lattice": [[9.9738, 0.0000, 0.0000], [-4.9869, 8.6376, 0.0000], [0.0000, 0.0000, 22.5571]],
  "species": ["Nd", "Nd", "Nd", "Nd", "Nd", "Nd", "Nd", "Nd", "Nd", "Nd", "Nd", "Nd", "Nd", "Nd", "Nd", "Nd", "Nd", "Nd", "Nd", "Nd", "Nd", "Nd", "Nd", "Nd", "Nd", "Nd", "Nd", "Nd", "Nd", "Nd", "Nd", "Nd", "Nd", "Nd", "Nd", "Nd", "Nd", "Nd", "Nd", "Nd", "Nd", "Nd", "Nd", "Nd", "Nd", "Nd", "Cd", "Cd", "Cd", "Cd", "Cd", "Cd", "Cd", "Cd", "Rh", "Rh", "Rh", "Rh", "Rh", "Rh", "Rh", "Rh", "Rh", "Rh", "Rh", "Rh", "Rh", "Rh"],
  "fractional_positions": [[0.0000, 0.0000, 0.0482], [0.0000, 0.0000, 0.5482], [0.0806, 0.5403, 0.1388], [0.0821, 0.5410, 0.4088], [0.1267, 0.2534, 0.6882], [0.1267, 0.8733, 0.6882], [0.2014, 0.4028, 0.8357], [0.2014, 0.7986, 0.8357], [0.2067, 0.4135, 0.2741], [0.2067, 0.7933, 0.2741], [0.2076, 0.4153, 0.0000], [0.2076, 0.7924, 0.0000], [0.2086, 0.4172, 0.5420], [0.2086, 0.7914, 0.5420], [0.2534, 0.1267, 0.1882], [0.3333, 0.6667, 0.6998], [0.4028, 0.2014, 0.3357], [0.4135, 0.2067, 0.7741], [0.4153, 0.2076, 0.5000], [0.4172, 0.2086, 0.0420], [0.4590, 0.5410, 0.4088], [0.4590, 0.9179, 0.4088], [0.4597, 0.5403, 0.1388], [0.4597, 0.9194, 0.1388], [0.5403, 0.0806, 0.6388], [0.5403, 0.4597, 0.6388], [0.5410, 0.0821, 0.9088], [0.5410, 0.4590, 0.9088], [0.5828, 0.7914, 0.5420], [0.5847, 0.7924, 0.0000], [0.5865, 0.7933, 0.2741], [0.5972, 0.7986, 0.8357], [0.6667, 0.3333, 0.1998], [0.7466, 0.8733, 0.6882], [0.7914, 0.2086, 0.0420], [0.7914, 0.5828, 0.0420], [0.7924, 0.2076, 0.5000], [0.7924, 0.5847, 0.5000], [0.7933, 0.2067, 0.7741], [0.7933, 0.5865, 0.7741], [0.7986, 0.2014, 0.3357], [0.7986, 0.5972, 0.3357], [0.8733, 0.1267, 0.1882], [0.8733, 0.7466, 0.1882], [0.9179, 0.4590, 0.9088], [0.9194, 0.4597, 0.6388], [0.0000, 0.0000, 0.3034], [0.0000, 0.0000, 0.8034], [0.1058, 0.2116, 0.4159], [0.1058, 0.8942, 0.4159], [0.2116, 0.1058, 0.9159], [0.7884, 0.8942, 0.4159], [0.8942, 0.1058, 0.9159], [0.8942, 0.7884, 0.9159], [0.0417, 0.5209, 0.7647], [0.1427, 0.2855, 0.1156], [0.1427, 0.8573, 0.1156], [0.2855, 0.1427, 0.6156], [0.3333, 0.6667, 0.9162], [0.4791, 0.5209, 0.7647], [0.4791, 0.9583, 0.7647], [0.5209, 0.0417, 0.2647], [0.5209, 0.4791, 0.2647], [0.6667, 0.3333, 0.4162], [0.7145, 0.8573, 0.1156], [0.8573, 0.1427, 0.6156], [0.8573, 0.7145, 0.6156], [0.9583, 0.4791, 0.2647]],
  "formation_energy_ev_per_atom": -0.491,
  "spacegroup": "P6_3mc, No. 186",
  "energy_ev_per_atom": -27.726
}

{
  "formula": "Co3O2F4",
  "functional": "meta-GGA r2SCAN",
  "state": "relaxed",
  "lattice": [[4.4468, 0.0000, 0.0000], [0.0133, 5.3490, 0.0000], [0.1569, 0.2741, 7.6340]],
  "species": ["Co", "Co", "Co", "Co", "Co", "Co", "O", "O", "O", "O", "F", "F", "F", "F", "F", "F", "F", "F"],
  "fractional_positions": [[0.0000, 0.0000, 0.0000], [0.0344, 0.6725, 0.3218], [0.4580, 0.1722, 0.3246], [0.5000, 0.5000, 0.0000], [0.5420, 0.8278, 0.6754], [0.9656, 0.3275, 0.6782], [0.1907, 0.9623, 0.2182], [0.2988, 0.4729, 0.2191], [0.7012, 0.5271, 0.7809], [0.8093, 0.0377, 0.7818], [0.2014, 0.6236, 0.5733], [0.2362, 0.2687, 0.9084], [0.2705, 0.7681, 0.9042], [0.2890, 0.1301, 0.5732], [0.7110, 0.8699, 0.4268], [0.7295, 0.2319, 0.0958], [0.7638, 0.7313, 0.0916], [0.7986, 0.3764, 0.4267]],
  "formation_energy_ev_per_atom": -1.775,
  "spacegroup": "P-1, No. 2",
  "energy_ev_per_atom": -8.903
}